Entry 1:
Ba2LaMgBiO6: relaxed, PBE-GGA.

extended XYZ file:
```
11
Lattice="-3.783 -3.107 -4.774 3.783 -3.107 4.774 -3.268 3.107 4.454" Properties=species:S:1:pos:R:3 pbc="T T T"
La -3.056 0.000 0.142
Ba -3.577 -3.107 -2.715
Mg -1.258 -3.107 2.605
O -1.399 -1.603 4.079
Bi -3.297 0.000 4.169
O -1.621 -4.517 0.923
O 0.721 -3.107 2.591
O -4.231 0.000 2.187
Ba -0.366 0.000 5.947
O -5.182 -1.505 -0.695
O -1.621 -1.697 0.923
```

Output
relative energy among the computed polymorphs = 0 meV per atom
calculated formation energy = -2.6954 eV per atom
E (MP2020) = -6.6910 eV/atom

=====

Entry 2:
Na2UO4: relaxed, PBE-GGA.

extended XYZ file:
```
7
Lattice="-3.516 3.647 4.370 -3.711 5.350 -1.539 1.173 -6.319 -1.860" Properties=species:S:1:pos:R:3 pbc="T T T"
U 0.000 0.000 0.000
Na -4.677 5.823 1.832
O -1.171 -1.336 1.255
O -1.269 -0.484 -1.699
O -6.053 7.536 2.371
O -1.174 1.462 0.460
Na -2.550 3.175 0.999
```

Output
calculated formation energy = -2.9675 eV per atom
E (MP2020) = -7.7858 eV/atom

=====

> The highest calculated formation energy belongs to which entry?

Ba2LaMgBiO6